# 1
The following is a DFT calculation (PBE) of TbZn20Fe2 after structural relaxation.

Results
E_form in meV/atom: -134
Calculated volume in A^3/atom: 15.155

a = 9.953 Å, b = 9.953 Å, c = 9.953 Å
α = 60.00°, β = 60.00°, γ = 60.00°
Atoms (fractional coordinates):
Tb: 0.750 0.750 0.750
Tb: 0.500 0.500 0.500
Zn: 0.625 0.625 0.625
Zn: 0.125 0.625 0.625
Zn: 0.298 0.569 0.835
Zn: 0.952 0.952 0.681
Zn: 0.681 0.415 0.952
Zn: 0.952 0.415 0.952
Zn: 0.415 0.952 0.681
Zn: 0.415 0.952 0.952
Zn: 0.681 0.952 0.952
Zn: 0.835 0.569 0.298
Zn: 0.298 0.569 0.298
Zn: 0.569 0.298 0.835
Zn: 0.298 0.298 0.835
Zn: 0.569 0.835 0.298
Zn: 0.835 0.298 0.569
Zn: 0.298 0.298 0.569
Zn: 0.298 0.835 0.298
Zn: 0.681 0.952 0.415
Zn: 0.952 0.952 0.415
Zn: 0.952 0.415 0.681
Zn: 0.952 0.681 0.415
Zn: 0.415 0.681 0.952
Zn: 0.952 0.681 0.952
Zn: 0.835 0.298 0.298
Zn: 0.569 0.298 0.298
Zn: 0.298 0.835 0.569
Zn: 0.864 0.864 0.136
Zn: 0.114 0.386 0.386
Zn: 0.386 0.114 0.114
Zn: 0.114 0.114 0.386
Zn: 0.114 0.386 0.114
Zn: 0.386 0.114 0.386
Zn: 0.136 0.864 0.136
Zn: 0.136 0.864 0.864
Zn: 0.864 0.136 0.136
Zn: 0.864 0.136 0.864
Zn: 0.386 0.386 0.114
Zn: 0.136 0.136 0.864
Zn: 0.625 0.125 0.625
Zn: 0.625 0.625 0.125
Fe: 0.125 0.625 0.125
Fe: 0.125 0.125 0.125
Fe: 0.625 0.125 0.125
Fe: 0.125 0.125 0.625


# 2
The following is a DFT calculation (PBE) of Ti2FeTc after structural relaxation.

Results
E_form in meV/atom: -450
Calculated volume in A^3/atom: 13.999

a = 4.294 Å, b = 4.294 Å, c = 4.294 Å
α = 60.00°, β = 60.00°, γ = 60.00°
Atoms (fractional coordinates):
Ti: 0.250 0.250 0.250
Ti: 0.750 0.750 0.750
Fe: 0.500 0.500 0.500
Tc: 0.000 0.000 0.000


# 3
The following is a DFT calculation (PBE) of Zr2FeTc after structural relaxation.

Results
E_form in meV/atom: -279
Calculated volume in A^3/atom: 17.055

a = 4.586 Å, b = 4.586 Å, c = 4.586 Å
α = 60.00°, β = 60.00°, γ = 60.00°
Atoms (fractional coordinates):
Zr: 0.250 0.250 0.250
Zr: 0.750 0.750 0.750
Fe: 0.500 0.500 0.500
Tc: 0.000 0.000 0.000


# 4
The following is a DFT calculation (PBE) of Fe3Te after structural relaxation.

Results
E_form in meV/atom: 132
Calculated volume in A^3/atom: 13.668
Spin magnetization in μB per formula unit: 6.4

a = 4.260 Å, b = 4.260 Å, c = 4.260 Å
α = 60.00°, β = 60.00°, γ = 60.00°
Atoms (fractional coordinates):
Fe: 0.750 0.750 0.750
Fe: 0.250 0.250 0.250
Fe: 0.000 0.000 0.000
Te: 0.500 0.500 0.500


Q: What is the formula in the third record?
A: Zr2FeTc


Q: Which value of E_form does entry 3 give?
A: -279 meV/atom


Q: Which value of E_form does entry 4 give?
A: 132 meV/atom